The following is a PBE calculation of crystalline MnHgC4S4N4 at its relaxed geometry, from the Materials Project.

## Properties
The volume comes out at 600.5 Å³ per cell. The calculation puts the corrected total energy (MP2020 scheme) at -6.994 eV/atom. The maximum piezoelectric response comes out at 0.062 C/m2. The calculation puts the formation enthalpy at 0 K at -118 meV/atom.

abc: 11.423 11.423 4.602
angles: 90.00 90.00 90.00
Space group I-4 (No. 82)
Symmetry-distinct sites (fractional):
Mn 0.000 0.000 0.000 [2 per cell]
Hg 0.000 0.500 0.750 [2 per cell]
C 0.079 0.227 0.640 [8 per cell]
S 0.122 0.343 0.462 [8 per cell]
N 0.050 0.141 0.763 [8 per cell]

---

The following is a PBE calculation of crystalline LaMg at its relaxed geometry, from the Materials Project.

## Properties
The volume comes out at 366.7 Å³ per cell. The calculation puts the formation enthalpy at 0 K at 19 meV/atom. The value obtained for the energy relative to the lowest polymorph listed for this composition is 0.129 eV per atom.

abc: 12.537 3.649 8.386
angles: 90.00 107.06 90.00
Space group Cm (No. 8)
Symmetry-distinct sites (fractional):
La 0.000 0.000 0.000 [2 per cell]
La 0.137 0.500 0.749 [2 per cell]
La 0.341 0.000 0.645 [2 per cell]
Mg 0.178 0.500 0.325 [2 per cell]
Mg 0.293 0.000 0.107 [2 per cell]
Mg 0.465 0.500 0.391 [2 per cell]

---

The following is a PBE calculation of crystalline LiTi2O4 at its relaxed geometry, from the Materials Project.

## Properties
The volume comes out at 294.3 Å³ per cell. The calculation puts the corrected total energy (MP2020 scheme) at -8.561 eV/atom. The calculation puts the formation enthalpy at 0 K at -3206 meV/atom. The value obtained for the energy relative to the lowest polymorph listed for this composition is 0.041 eV per atom.

abc: 5.9380 5.9380 9.6364
angles: 90.00 90.00 120.00
Space group P6_3mc (No. 186)
Symmetry-distinct sites (fractional):
Li 0.0000 0.0000 0.0000 [2 per cell]
Li 0.3333 0.6667 0.3987 [2 per cell]
Ti 0.1709 0.3418 0.7204 [6 per cell]
Ti 0.3333 0.6667 0.9938 [2 per cell]
O 0.0000 0.0000 0.3149 [2 per cell]
O 0.0398 0.5199 0.8457 [6 per cell]
O 0.1663 0.3326 0.1033 [6 per cell]
O 0.3333 0.6667 0.6078 [2 per cell]

---

Computed final energy, in the same sequence as the records: -6.747 -3.249 -8.169 eV/atom.